Record 1
26
Lattice="5.6797 -0.0067 0.0188 -2.8253 1.6563 4.9866 0.0115 -9.8299 -0.0286" Properties=species:S:1:pos:R:3 comment="LiMnCo3O8 (PBE+U, optimized geometry)" rho_g_cm3=4.37 magmom_total_mub_per_atom=0.2305 dft_energy_ev_per_atom=-6.073 polymorph_energy_mev_per_atom=4 pbc="T T T"
O 1.4764 -2.4602 3.9892
O 4.2367 -0.8410 1.0054
O 0.0279 -4.9438 3.9914
O -1.4246 -2.4369 3.9781
O 1.4328 -7.3163 4.0022
O 4.2844 -5.7467 0.9845
O 1.4324 -0.8564 0.9992
O 2.8747 -0.0013 4.0080
O -0.0046 0.0162 4.0540
O 0.0056 -8.1537 0.9784
O 1.3985 -5.7484 0.9674
O 0.0133 -3.3099 0.9001
O 2.8266 -3.2658 0.9775
O -1.3779 -7.3104 3.9918
O 2.8498 -8.1607 0.9268
O 2.8623 -4.9142 4.0593
Co 4.2647 -7.3794 0.0014
Co 2.8596 -3.2588 4.9876
Co 1.4321 -7.3780 -0.0124
Co 1.4337 -0.8071 4.9843
Co 2.8373 -0.0058 0.0153
Co -1.3904 -0.7963 4.9708
Mn 5.6696 -0.0275 0.0343
Mn 0.0250 -3.2468 4.9727
Li 2.8614 -1.5617 2.4641
Li 0.0179 -6.6088 2.5135

---

Record 2
28
Lattice="-0.4205 5.7364 1.3174 -4.7463 2.1883 -3.9087 -2.3262 -4.3799 5.8908" Properties=species:S:1:pos:R:3 comment="Li4MnCo2O7 (PBE+U, optimized geometry)" rho_g_cm3=4.18 magmom_total_mub_per_atom=0.3571 dft_energy_ev_per_atom=-5.855 polymorph_energy_mev_per_atom=22 pbc="T T T"
O -3.9508 3.8126 3.3029
O -3.5877 1.9613 -2.3758
O -1.4740 4.1469 1.6576
O -1.2706 0.9983 1.0695
O -6.2653 2.4472 2.2214
O -3.7641 0.7283 2.7549
O -1.4010 -0.7182 3.2299
O -3.8743 1.5791 5.6376
O -3.7137 2.8632 0.5905
O -6.0319 -0.6267 1.5505
O -3.7673 -1.0308 4.9211
O -3.7169 4.7043 -1.4618
O -3.4227 -0.2475 -0.0972
O -6.2442 4.2245 0.1390
Li -4.9082 3.0689 -1.0982
Li -2.4953 1.5566 -0.5476
Li -5.1335 5.9455 -0.4535
Li -2.6199 2.4183 2.2722
Li -4.8623 1.1440 1.0091
Li -4.9402 5.0316 -3.1885
Li -5.0376 2.0018 3.8589
Li -2.3573 -2.4139 3.7129
Co -5.0681 3.9431 1.6636
Co -2.3767 -0.4407 1.6068
Co -4.8642 -0.8076 3.2077
Co -2.5326 0.4541 4.3496
Mn -4.7498 2.1892 -3.8952
Mn -2.6817 4.3942 0.0974

---

Record 3
20
Lattice="-2.2021 1.8097 0.5680 0.3181 -3.6284 6.8637 5.3696 6.2869 0.6001" Properties=species:S:1:pos:R:3 comment="Li3MnCoO5 (PBE+U, optimized geometry)" rho_g_cm3=4.00 magmom_total_mub_per_atom=0.2999 dft_energy_ev_per_atom=-5.939 polymorph_energy_mev_per_atom=20 pbc="T T T"
Li 1.8598 3.5475 3.3721
Li 1.5837 4.0483 0.5841
Li 4.0425 4.3675 1.8829
Li -1.1011 0.9048 0.2840
Li -0.5569 0.1007 6.1490
Li 1.6258 0.9207 4.6598
O 0.4993 1.9687 3.1495
O 0.2426 2.4436 0.5834
O 0.2899 -0.6721 4.2918
O 3.2430 2.0246 7.4485
O 3.1957 5.1403 3.7400
O 0.2383 -0.2221 1.5421
O 2.9863 2.4994 4.8824
O 3.2473 4.6903 6.4898
O 2.7221 2.7660 1.7626
O 0.7635 1.7022 6.2693
Co 4.3444 4.0446 4.8535
Co -0.8588 0.4236 3.1784
Mn 1.5390 1.3880 1.5696
Mn 1.9466 3.0802 6.4622

---

Record 4
28
Lattice="-1.6632 -0.3943 4.6821 -1.7543 -6.3292 -0.2045 6.4508 -2.5043 3.6390" Properties=species:S:1:pos:R:3 comment="Li4MnCo2O7 (PBE+U, optimized geometry)" rho_g_cm3=4.17 magmom_total_mub_per_atom=0.6429 dft_energy_ev_per_atom=-5.850 polymorph_energy_mev_per_atom=26 pbc="T T T"
Co -0.1452 -2.8091 4.9947
Co 3.1784 -6.4187 3.1220
Co 1.5269 -3.8863 2.8358
Co 1.5063 -5.3416 5.2809
Mn -0.0777 -1.4057 2.4896
Mn 3.1109 -7.8222 5.6270
O 0.3453 -1.0599 4.3712
O -0.4264 -3.2275 3.1328
O 1.1041 -5.7744 3.4580
O -1.5032 -5.8865 1.7831
O 3.4791 -4.5340 2.4828
O 1.2323 -7.3019 5.9543
O -0.4459 -4.6939 5.6338
O 3.4518 -7.2908 7.4260
O 4.5364 -3.3413 6.3335
O 1.8009 -1.9259 2.1624
O 1.9291 -3.4534 4.6586
O 3.4596 -6.0004 4.9839
O -0.4186 -1.9370 0.6906
O 2.6879 -8.1680 3.7455
Li 4.0326 -3.9221 4.4311
Li 2.3938 -1.4493 4.1606
Li -0.9994 -5.3058 3.6856
Li 0.6405 -6.3305 1.4397
Li 3.9441 -5.3328 7.0367
Li 2.3927 -2.8974 6.6770
Li -0.9109 -3.8951 1.0799
Li 0.0000 0.0000 0.0000